[1]
This record from Materials Project describes a relaxed structure of Ba10Pr5Nb2Sn3O30. The functional is PBE.

The structure in CIF format:
```
data_Ba10Pr5Nb2Sn3O30
_symmetry_space_group_name_H-M 'P 1'
_symmetry_Int_Tables_number 1
_cell_length_a 8.784
_cell_length_b 10.701
_cell_length_c 10.762
_cell_angle_alpha 80.85
_cell_angle_beta 113.85
_cell_angle_gamma 113.74
loop_
_symmetry_equiv_pos_as_xyz
'x,y,z'
loop_
_atom_site_label
_atom_site_fract_x
_atom_site_fract_y
_atom_site_fract_z
Sn1 0.100 0.400 0.800
Sn2 0.300 0.200 0.400
Sn3 0.900 0.600 0.200
O1 0.015 0.201 0.873
O2 0.261 0.009 0.970
O3 0.384 0.399 0.325
O4 0.055 0.210 0.372
O5 0.215 0.000 0.473
O6 0.014 0.677 0.398
O7 0.186 0.123 0.202
O8 0.616 0.606 0.671
O9 0.416 0.806 0.071
O10 0.584 0.194 0.929
O11 0.185 0.599 0.727
O12 0.393 0.927 0.807
O13 0.463 0.812 0.573
O14 0.544 0.188 0.428
O15 0.737 0.988 0.027
O16 0.784 0.994 0.529
O17 0.606 0.072 0.192
O18 0.412 0.274 0.599
O19 0.939 0.791 0.630
O20 0.807 0.873 0.793
O21 0.656 0.612 0.172
O22 0.344 0.389 0.828
O23 0.986 0.323 0.602
O24 0.594 0.728 0.408
O25 0.788 0.526 0.001
O26 0.214 0.477 0.998
O27 0.985 0.800 0.127
O28 0.816 0.401 0.275
O29 0.856 0.411 0.772
O30 0.145 0.590 0.228
Ba1 0.149 0.103 0.700
Ba2 0.651 0.100 0.699
Ba3 0.051 0.697 0.900
Ba4 0.248 0.496 0.499
Ba5 0.750 0.500 0.500
Ba6 0.450 0.300 0.100
Ba7 0.952 0.304 0.101
Ba8 0.853 0.898 0.299
Ba9 0.549 0.700 0.901
Ba10 0.347 0.902 0.301
Pr1 0.402 0.602 0.201
Pr2 0.798 0.198 0.399
Pr3 0.201 0.800 0.602
Pr4 0.600 0.400 0.800
Pr5 0.999 0.000 0.998
Nb1 0.700 0.800 0.600
Nb2 0.500 0.000 0.000
```

Computed properties:
- ΔH_f (0 K) (eV/atom) = -3.0268
- space-group type = P-1
- volume (Å³/cell) = 846.9
- magnetic moment (μB/f.u.) = 3.0
- E_tot (eV per atom) = -7.09

***

[2]
This record from Materials Project describes a relaxed structure of Li3MnAs2. The functional is PBE.

The structure in CIF format:
```
data_Li3MnAs2
_symmetry_space_group_name_H-M 'P 1'
_symmetry_Int_Tables_number 1
_cell_length_a 4.109
_cell_length_b 4.109
_cell_length_c 11.688
_cell_angle_alpha 90.00
_cell_angle_beta 90.00
_cell_angle_gamma 90.00
loop_
_symmetry_equiv_pos_as_xyz
'x,y,z'
loop_
_atom_site_label
_atom_site_fract_x
_atom_site_fract_y
_atom_site_fract_z
As1 0.000 0.500 0.608
As2 0.500 0.000 0.392
As3 0.500 0.000 0.892
As4 0.000 0.500 0.108
Mn1 0.000 0.000 0.000
Mn2 0.500 0.500 0.500
Li1 0.500 0.500 0.000
Li2 0.000 0.000 0.248
Li3 0.000 0.000 0.752
Li4 0.500 0.500 0.748
Li5 0.500 0.500 0.252
Li6 0.000 0.000 0.500
```

Computed properties:
- ΔH_f (0 K) (eV/atom) = -0.4481
- space-group type = P4_2/nmc
- volume (Å³/cell) = 197.3
- magnetic moment (μB/f.u.) = 4.0
- E_tot (eV per atom) = -4.48

***

[3]
This record from Materials Project describes a relaxed structure of MgTi6H4O14. The functional is PBE.

The structure in CIF format:
```
data_MgTi6H4O14
_symmetry_space_group_name_H-M 'P 1'
_symmetry_Int_Tables_number 1
_cell_length_a 8.652
_cell_length_b 9.179
_cell_length_c 9.512
_cell_angle_alpha 73.73
_cell_angle_beta 107.42
_cell_angle_gamma 154.81
loop_
_symmetry_equiv_pos_as_xyz
'x,y,z'
loop_
_atom_site_label
_atom_site_fract_x
_atom_site_fract_y
_atom_site_fract_z
Mg1 0.525 0.280 0.997
O1 0.002 0.790 0.606
O2 0.919 0.966 0.169
O3 0.699 0.237 0.193
O4 0.957 0.203 0.688
O5 0.062 0.771 0.003
O6 0.352 0.702 0.167
O7 0.267 0.734 0.741
O8 0.682 0.252 0.533
O9 0.303 0.724 0.443
O10 0.309 0.307 0.926
O11 0.610 0.264 0.827
O12 0.049 0.786 0.302
O13 0.901 0.210 0.973
O14 0.983 0.190 0.384
Ti1 0.100 0.767 0.798
Ti2 0.882 0.181 0.181
Ti3 0.182 0.738 0.211
Ti4 0.867 0.213 0.496
Ti5 0.799 0.226 0.786
Ti6 0.129 0.766 0.500
H1 0.207 0.285 0.825
H2 0.971 0.905 0.238
H3 0.683 0.759 0.113
H4 0.144 0.190 0.993
```

Computed properties:
- ΔH_f (0 K) (eV/atom) = -2.7961
- space-group type = P1
- volume (Å³/cell) = 306.7
- polymorph energy (0 for the lowest one) (meV/atom) = 47
- magnetic moment (μB/f.u.) = 1.1
- E_tot (eV per atom) = -7.68